Tl2PdSe2 PBE relaxed; electronic total energy = -3.749 eV per atom; ΔH_f (0 K) = -0.559 eV/atom; space group = Pbam
1.0
6.211 0.000 0.000
0.000 11.594 0.000
0.000 0.000 3.747
Tl Pd Se
4 2 4
Cartesian
0.686 1.776 0.000
2.419 7.573 0.000
3.792 4.021 0.000
5.525 9.817 0.000
0.000 5.797 0.000
3.106 0.000 0.000
1.092 4.516 1.873
2.014 10.313 1.873
4.197 1.281 1.873
5.119 7.078 1.873

---

Sn5S4Cl2 PBE relaxed; E above lowest polymorph = 49 meV per atom; electronic total energy = -4.165 eV per atom; ΔH_f (0 K) = -0.796 eV/atom; space group = P-1
1.0
7.317 0.000 0.000
3.642 8.474 0.000
3.623 2.840 9.537
Sn S Cl
10 8 4
Cartesian
2.397 3.135 2.309
5.283 3.776 8.898
5.253 4.721 5.421
6.133 7.096 2.422
8.523 8.790 7.090
6.058 2.524 2.447
8.449 4.218 7.115
9.329 6.593 4.116
9.299 7.538 0.639
12.184 8.179 7.227
2.985 2.381 7.763
4.280 5.231 3.000
6.399 7.035 5.364
10.048 9.931 8.962
4.533 1.383 0.575
8.182 4.279 4.173
10.302 6.083 6.537
11.597 8.933 1.773
3.625 1.679 4.139
7.285 7.347 8.913
7.297 3.967 0.624
10.957 9.635 5.398

---

LiMoS2 PBE relaxed; electronic total energy = -6.239 eV per atom; ΔH_f (0 K) = -1.233 eV/atom; space group = P-1
1.0
6.277 0.000 0.000
0.023 6.672 0.000
0.012 3.288 5.955
Li Mo S
4 4 8
Cartesian
0.077 4.169 1.728
0.157 7.466 1.549
6.154 2.494 4.406
6.235 5.791 4.227
3.145 8.948 4.810
3.154 3.972 1.252
3.158 5.988 4.703
3.166 1.012 1.145
1.449 7.434 5.546
1.606 4.159 5.331
1.776 2.433 2.567
1.914 5.868 2.437
4.398 4.092 3.518
4.536 7.527 3.387
4.706 5.801 0.624
4.862 2.526 0.408

---

Mg6TiV PBE relaxed; E above lowest polymorph = 0 meV per atom; electronic total energy = -3.123 eV per atom; ΔH_f (0 K) = 0.200 eV/atom
1.0
4.865 0.000 0.000
0.000 6.136 0.000
0.000 0.000 10.981
Mg Ti V
12 2 2
Cartesian
2.433 1.587 4.615
2.433 1.481 10.105
2.433 4.654 10.105
2.433 0.000 1.840
2.433 4.549 4.615
0.000 1.582 0.887
2.433 3.068 7.330
0.000 3.068 9.118
0.000 4.650 6.377
0.000 0.000 3.628
0.000 4.554 0.887
0.000 1.486 6.377
2.433 0.000 7.526
2.433 3.068 2.035
0.000 0.000 8.945
0.000 3.068 3.455

---

AcMg PBE relaxed; electronic total energy = -2.936 eV per atom; ΔH_f (0 K) = -0.075 eV/atom; space group = Pm-3m
1.0
4.115 0.000 0.000
0.000 4.115 0.000
0.000 0.000 4.115
Ac Mg
1 1
Cartesian
0.000 0.000 0.000
2.058 2.058 2.058

---

CaSnO6 PBE relaxed; E above lowest polymorph = 0 meV per atom; electronic total energy = -5.347 eV per atom; ΔH_f (0 K) = -1.005 eV/atom; space group = Pn-3
1.0
7.474 0.000 0.000
0.000 7.474 0.000
0.000 0.000 7.474
Ca Sn O
4 4 24
Cartesian
0.000 0.000 0.000
0.000 3.737 3.737
3.737 0.000 3.737
3.737 3.737 0.000
0.000 0.000 3.737
0.000 3.737 0.000
3.737 0.000 0.000
3.737 3.737 3.737
0.560 4.878 5.660
0.560 6.333 5.551
1.141 1.814 4.297
1.141 1.923 6.914
1.814 4.297 1.141
1.814 6.914 2.596
1.923 4.297 2.596
1.923 6.914 1.141
2.596 1.814 6.914
2.596 1.923 4.297
3.177 4.878 5.551
3.177 6.333 5.660
4.297 1.141 1.814
4.297 2.596 1.923
4.878 5.551 3.177
4.878 5.660 0.560
5.551 0.560 6.333
5.551 3.177 4.878
5.660 0.560 4.878
5.660 3.177 6.333
6.333 5.551 0.560
6.333 5.660 3.177
6.914 1.141 1.923
6.914 2.596 1.814